First-principles (PBE) data for a relaxed structure of EuSnHg, as listed in the Materials Project.

Calculated values
The symmetry is P6_3mc, No. 186. The calculation puts the formation energy at -0.568 eV/atom.

Structure (POSCAR):
```
EuSnHg
1.0
4.985 0.000 0.000
-2.492 4.317 0.000
0.000 0.000 7.879
Eu Sn Hg
2 2 2
direct
0.000 0.000 0.000
0.000 0.000 0.500
0.333 0.667 0.287
0.667 0.333 0.787
0.333 0.667 0.696
0.667 0.333 0.196
```



First-principles (PBE) data for a relaxed structure of ZnCu2SnS4, as listed in the Materials Project.

Calculated values
The value obtained for the spin magnetization is 0.00 μB per cell. The symmetry is I-42m, No. 121. The calculation puts the polymorph energy (0 for the lowest one) at 0.0028 eV per atom. The calculation puts the formation energy at -0.705 eV/atom.

Structure (POSCAR):
```
ZnCu2SnS4
1.0
-2.726 2.726 5.475
2.726 -2.726 5.475
2.726 2.726 -5.475
Zn Cu Sn S
1 2 1 4
direct
0.000 0.000 0.000
0.250 0.750 0.500
0.750 0.250 0.500
0.500 0.500 0.000
0.109 0.109 0.484
0.376 0.891 0.000
0.624 0.624 0.516
0.891 0.376 0.000
```



First-principles (PBE) data for a relaxed structure of Eu3RuO7, as listed in the Materials Project.

Calculated values
The symmetry is Cmcm, No. 63. The calculation puts the formation energy at -2.659 eV/atom.

Structure (POSCAR):
```
Eu3RuO7
1.0
5.426 -3.715 0.000
5.426 3.715 0.000
0.000 0.000 7.571
Eu Ru O
6 2 14
direct
0.000 0.000 0.000
0.000 0.000 0.500
0.070 0.476 0.750
0.476 0.070 0.250
0.524 0.930 0.750
0.930 0.524 0.250
0.500 0.500 0.000
0.500 0.500 0.500
0.107 0.158 0.250
0.158 0.107 0.750
0.192 0.558 0.039
0.192 0.558 0.461
0.418 0.582 0.750
0.442 0.808 0.039
0.442 0.808 0.461
0.558 0.192 0.539
0.558 0.192 0.961
0.582 0.418 0.250
0.808 0.442 0.539
0.808 0.442 0.961
0.842 0.893 0.250
0.893 0.842 0.750
```



First-principles (PBE) data for a relaxed structure of Ce2SbS5Br, as listed in the Materials Project.

Calculated values
The value obtained for the spin magnetization is 0.06 μB per cell. The symmetry is Pnma, No. 62. The calculation puts the formation energy at -1.679 eV/atom.

Structure (POSCAR):
```
Ce2SbS5Br
1.0
8.859 0.000 0.000
0.000 5.487 0.000
0.000 0.000 17.730
Ce Sb S Br
8 4 20 4
direct
0.155 0.250 0.200
0.223 0.250 0.470
0.277 0.750 0.970
0.345 0.750 0.700
0.655 0.250 0.300
0.723 0.250 0.030
0.777 0.750 0.530
0.845 0.750 0.800
0.014 0.250 0.671
0.486 0.750 0.171
0.514 0.250 0.829
0.986 0.750 0.329
0.020 0.750 0.655
0.075 0.750 0.459
0.155 0.559 0.827
0.155 0.941 0.827
0.213 0.750 0.142
0.287 0.250 0.642
0.345 0.059 0.327
0.345 0.441 0.327
0.425 0.250 0.959
0.480 0.250 0.155
0.520 0.750 0.845
0.575 0.750 0.041
0.655 0.559 0.673
0.655 0.941 0.673
0.713 0.750 0.358
0.787 0.250 0.858
0.845 0.059 0.173
0.845 0.441 0.173
0.925 0.250 0.541
0.980 0.250 0.345
0.096 0.250 0.028
0.404 0.750 0.528
0.596 0.250 0.472
0.904 0.750 0.972
```



First-principles (PBE) data for a relaxed structure of Sc4Si7Ni, as listed in the Materials Project.

Calculated values
The value obtained for the spin magnetization is 0.00 μB per cell. The symmetry is Pmm2, No. 25. The calculation puts the formation energy at -0.480 eV/atom.

Structure (POSCAR):
```
Sc4Si7Ni
1.0
3.660 0.000 0.000
0.000 3.844 0.000
0.000 0.000 13.973
Sc Si Ni
4 7 1
direct
0.000 0.000 0.000
0.000 0.500 0.484
0.500 0.000 0.180
0.500 0.500 0.694
0.000 0.000 0.336
0.000 0.000 0.641
0.000 0.500 0.132
0.000 0.500 0.854
0.500 0.000 0.529
0.500 0.000 0.853
0.500 0.500 0.327
0.500 0.500 0.993
```



First-principles (PBE) data for a relaxed structure of Cu2SnSe3, as listed in the Materials Project.

Calculated values
The value obtained for the spin magnetization is 0.00 μB per cell. The symmetry is Cc, No. 9. The calculation puts the formation energy at -0.514 eV/atom.

Structure (POSCAR):
```
Cu2SnSe3
1.0
3.535 -6.115 0.000
3.535 6.115 0.000
-2.305 0.000 13.260
Cu Sn Se
8 4 12
direct
0.000 0.506 0.248
0.079 0.921 0.500
0.423 0.602 0.499
0.506 0.000 0.748
0.602 0.423 0.999
0.686 0.851 0.250
0.851 0.686 0.750
0.921 0.079 0.000
0.192 0.343 0.742
0.262 0.769 0.991
0.343 0.192 0.242
0.769 0.262 0.491
0.093 0.599 0.431
0.157 0.966 0.682
0.242 0.381 0.943
0.326 0.806 0.192
0.381 0.242 0.443
0.516 0.678 0.681
0.599 0.093 0.931
0.678 0.516 0.181
0.733 0.883 0.432
0.806 0.326 0.692
0.883 0.733 0.932
0.966 0.157 0.182
```